Entry from the Materials Project: SmMg2W3S8 after structural relaxation (PBE).

Output
**DFT formation energy**: -1.02 eV/atom
**Spin magnetization**: 2.723 μB per formula unit

abc: 7.6403 7.6404 7.4665
angles: 57.41 57.41 59.34
Last column: nearest neighbours and their distance in Å.
Fractional positions:
Sm 0.5000 0.5000 0.5000  6 S 2.75
Mg 0.8762 0.8762 0.8679  4 S 2.41-2.51
Mg 0.1238 0.1238 0.1322  4 S 2.41-2.51
W 0.5002 0.5002 0.9996  6 S 2.50-2.53
W 0.9998 0.5000 0.5002  6 S 2.47-2.54
W 0.5000 0.9998 0.5002  6 S 2.47-2.54
S 0.7428 0.7428 0.7350  1 Mg 2.51, 3 W 2.53-2.54
S 0.2400 0.2400 0.7251  1 Mg 2.41, 2 W 2.48
S 0.2449 0.7301 0.2396  1 Mg 2.43, 2 W 2.48-2.50
S 0.7301 0.2449 0.2396  1 Mg 2.43, 2 W 2.48-2.50
S 0.7551 0.2698 0.7603  1 Mg 2.43, 2 W 2.47-2.50
S 0.2698 0.7551 0.7603  1 Mg 2.43, 2 W 2.47-2.50
S 0.2573 0.2573 0.2650  1 Mg 2.51, 3 W 2.53-2.54
S 0.7600 0.7600 0.2750  1 Mg 2.41, 2 W 2.48